Computed, not measured: an optimized crystal structure of SbH5Cl6O2 at the PBE level of DFT.

abc: 7.112 7.112 12.787
angles: 96.29 99.83 119.75
Space group P1 (No. 1)
One atom of each set of equivalent atoms:
Sb1 0.000 0.000 0.000 x1
Sb2 0.005 0.501 0.506 x1
H1 0.313 0.821 0.176 x1
H2 0.352 0.362 0.670 x1
H3 0.366 0.167 0.603 x1
H4 0.423 0.722 0.104 x1
H5 0.469 0.220 0.749 x1
H6 0.533 0.780 0.253 x1
H7 0.569 0.265 0.904 x1
H8 0.624 0.820 0.402 x1
H9 0.651 0.638 0.331 x1
H10 0.698 0.184 0.837 x1
Cl1 0.002 0.843 0.162 x1
Cl2 0.005 0.163 0.842 x1
Cl3 0.077 0.747 0.909 x1
Cl4 0.169 0.331 0.411 x1
Cl5 0.196 0.828 0.429 x1
Cl6 0.326 0.663 0.664 x1
Cl7 0.405 0.269 0.078 x1
Cl8 0.602 0.735 0.926 x1
Cl9 0.686 0.340 0.344 x1
Cl10 0.814 0.177 0.581 x1
Cl11 0.844 0.670 0.598 x1
Cl12 0.926 0.259 0.096 x1
O1 0.361 0.229 0.674 x1
O2 0.446 0.810 0.175 x1
O3 0.560 0.188 0.832 x1
O4 0.641 0.772 0.332 x1

---

Computed, not measured: an optimized crystal structure of SbH5Cl6O2 at the PBE level of DFT.

abc: 12.167 7.238 13.564
angles: 90.00 114.09 90.00
Space group C2/c (No. 15)
One atom of each set of equivalent atoms:
Sb1 0.250 0.250 0.000 x4
H1 0.000 0.218 0.250 x4
H2 0.051 0.221 0.399 x8
H3 0.087 0.282 0.167 x8
Cl1 0.037 0.291 0.908 x8
Cl2 0.219 0.046 0.568 x8
Cl3 0.246 0.403 0.159 x8
O1 0.020 0.207 0.170 x8

---

Computed, not measured: an optimized crystal structure of ScH13Cl2O7 at the PBE level of DFT.

abc: 8.701 15.669 7.249
angles: 90.00 90.00 90.00
Space group Pnnm (No. 58)
One atom of each set of equivalent atoms:
Sc1 0.134 0.080 0.000 x4
H1 0.021 0.356 0.000 x4
H2 0.050 0.849 0.281 x8
H3 0.076 0.677 0.500 x4
H4 0.098 0.209 0.295 x8
H5 0.133 0.699 0.000 x4
H6 0.167 0.581 0.181 x8
H7 0.180 0.903 0.000 x4
H8 0.212 0.745 0.500 x4
H9 0.233 0.486 0.205 x8
Cl1 0.166 0.294 0.500 x4
Cl2 0.229 0.881 0.500 x4
O1 0.042 0.169 0.212 x8
O2 0.093 0.640 0.000 x4
O3 0.101 0.948 0.000 x4
O4 0.190 0.683 0.500 x4
O5 0.214 0.540 0.272 x8

---

Computed, not measured: an optimized crystal structure of SnH22Cl6O10 at the PBE level of DFT.

abc: 9.086 7.347 16.343
angles: 90.00 120.87 90.00
Space group P2_1/c (No. 14)
One atom of each set of equivalent atoms:
Sn1 0.000 0.000 0.000 x2
H1 0.041 0.008 0.318 x4
H2 0.141 0.597 0.917 x4
H3 0.142 0.730 0.293 x4
H4 0.167 0.694 0.206 x4
H5 0.315 0.041 0.385 x4
H6 0.332 0.004 0.815 x4
H7 0.369 0.203 0.637 x4
H8 0.424 0.220 0.373 x4
H9 0.467 0.520 0.609 x4
H10 0.468 0.110 0.739 x4
H11 0.475 0.000 0.363 x4
Cl1 0.148 0.109 0.164 x4
Cl2 0.151 0.704 0.056 x4
Cl3 0.242 0.117 0.985 x4
O1 0.147 0.564 0.860 x4
O2 0.149 0.631 0.254 x4
O3 0.431 0.089 0.397 x4
O4 0.435 0.085 0.838 x4
O5 0.475 0.138 0.681 x4

---

Computed, not measured: an optimized crystal structure of Sn2H12Cl6O7 at the PBE level of DFT.

abc: 12.505 7.689 17.447
angles: 90.00 94.92 90.00
Space group C2/c (No. 15)
One atom of each set of equivalent atoms:
Sn1 0.224 0.144 0.082 x8
H1 0.006 0.176 0.428 x8
H2 0.041 0.275 0.996 x8
H3 0.053 0.159 0.730 x8
H4 0.065 0.038 0.331 x8
H5 0.139 0.197 0.357 x8
H6 0.190 0.032 0.931 x8
Cl1 0.084 0.419 0.891 x8
Cl2 0.166 0.150 0.600 x8
Cl3 0.193 0.268 0.204 x8
O1 0.000 0.083 0.750 x4
O2 0.058 0.199 0.041 x8
O3 0.097 0.101 0.376 x8
O4 0.242 0.107 0.963 x8

---

Computed, not measured: an optimized crystal structure of SnH10Cl4O5 at the PBE level of DFT.

abc: 12.491 10.095 8.776
angles: 90.00 103.35 90.00
Space group C2/c (No. 15)
One atom of each set of equivalent atoms:
Sn1 0.000 0.245 0.250 x4
H1 0.025 0.367 0.840 x8
H2 0.097 0.186 0.721 x8
H3 0.112 0.087 0.502 x8
H4 0.115 0.012 0.330 x8
H5 0.218 0.136 0.739 x8
Cl1 0.112 0.401 0.429 x8
Cl2 0.139 0.228 0.098 x8
O1 0.000 0.308 0.750 x4
O2 0.080 0.080 0.386 x8
O3 0.142 0.107 0.703 x8

---

Computed, not measured: an optimized crystal structure of SnH6Cl4O3 at the PBE level of DFT.

abc: 6.527 11.429 12.107
angles: 90.00 90.62 90.00
Space group P2_1/c (No. 14)
One atom of each set of equivalent atoms:
Sn1 0.136 0.234 0.336 x4
H1 0.072 0.063 0.708 x4
H2 0.074 0.144 0.028 x4
H3 0.115 0.652 0.828 x4
H4 0.138 0.711 0.491 x4
H5 0.383 0.656 0.957 x4
H6 0.392 0.749 0.364 x4
Cl1 0.187 0.631 0.186 x4
Cl2 0.267 0.095 0.470 x4
Cl3 0.287 0.137 0.176 x4
Cl4 0.402 0.125 0.859 x4
O1 0.008 0.632 0.771 x4
O2 0.024 0.669 0.530 x4
O3 0.297 0.707 0.911 x4

---

no.,formation energy (eV/atom)
1,-0.92
2,-0.93
3,-1.49
4,-1.18
5,-1.23
6,-1.19
7,-1.16